Entry 1:
ZrNi4As2 | GGA-PBE | optimized geometry

Computed properties:
ΔH_f (0 K) in meV per atom: -550

abc: 7.083 7.083 3.755
angles: 90.00 90.00 90.00
Fractional positions:
Zr: 0.000 0.000 0.000
Zr: 0.500 0.500 0.500
Ni: 0.090 0.345 0.500
Ni: 0.155 0.590 0.000
Ni: 0.345 0.090 0.500
Ni: 0.410 0.845 0.000
Ni: 0.590 0.155 0.000
Ni: 0.655 0.910 0.500
Ni: 0.845 0.410 0.000
Ni: 0.910 0.655 0.500
As: 0.217 0.783 0.500
As: 0.283 0.283 0.000
As: 0.717 0.717 0.000
As: 0.783 0.217 0.500

=====

Entry 2:
U3Cu2S7 | GGA-PBE | optimized geometry

Computed properties:
ΔH_f (0 K) in meV per atom: -1421

abc: 9.643 9.643 5.680
angles: 90.00 90.00 120.00
Fractional positions:
U: 0.151 0.380 0.000
U: 0.229 0.849 0.000
U: 0.380 0.229 0.500
U: 0.620 0.771 0.000
U: 0.771 0.151 0.500
U: 0.849 0.620 0.500
Cu: 0.000 0.000 0.470
Cu: 0.000 0.000 0.970
Cu: 0.333 0.667 0.619
Cu: 0.667 0.333 0.119
S: 0.080 0.567 0.752
S: 0.108 0.262 0.485
S: 0.154 0.892 0.485
S: 0.262 0.154 0.985
S: 0.333 0.667 0.221
S: 0.433 0.513 0.752
S: 0.487 0.920 0.752
S: 0.513 0.080 0.252
S: 0.567 0.487 0.252
S: 0.667 0.333 0.721
S: 0.738 0.846 0.485
S: 0.846 0.108 0.985
S: 0.892 0.738 0.985
S: 0.920 0.433 0.252

=====

The following E values (in eV/atom) correspond, in order, to the records above: -6.405, -7.047.